(1)
## VF4 (PBE+U)

Data for a geometry-optimized VF4 structure.

Cell and atoms, written as POSCAR:
```
VF4
1.0
6.176 0.000 0.000
0.000 4.935 0.000
0.000 4.249 9.484
V F
4 16
Direct
0.827 0.998 0.251
0.673 0.998 0.751
0.327 0.002 0.249
0.173 0.002 0.749
0.414 0.759 0.855
0.175 0.224 0.847
0.914 0.241 0.645
0.333 0.830 0.130
0.570 0.765 0.358
0.833 0.170 0.370
0.667 0.170 0.870
0.167 0.830 0.630
0.086 0.759 0.355
0.430 0.235 0.642
0.930 0.765 0.858
0.325 0.224 0.347
0.586 0.241 0.145
0.675 0.776 0.653
0.825 0.776 0.153
0.070 0.235 0.142
```

**Energy relative to the elements**: -2.960 eV/atom
**Space-group type**: P2_1/c, No. 14


(2)
## YVF5 (PBE+U)

Data for a geometry-optimized YVF5 structure.

Cell and atoms, written as POSCAR:
```
YVF5
1.0
-2.094 3.486 4.223
2.094 -3.486 4.223
2.094 3.486 -4.223
F V Y
5 1 1
Direct
0.241 0.241 0.000
0.180 0.500 0.680
0.759 0.759 0.000
0.500 0.000 0.500
0.820 0.500 0.320
0.000 0.000 0.000
0.500 0.500 0.000
```

**Energy relative to the elements**: -3.640 eV/atom
**Space-group type**: Immm, No. 71


(3)
## VZnF4 (PBE+U)

Data for a geometry-optimized VZnF4 structure.

Cell and atoms, written as POSCAR:
```
VZnF4
1.0
-5.201 0.000 0.000
-0.023 -5.685 0.000
1.451 1.963 5.340
F V Zn
8 2 2
Direct
0.293 0.551 0.329
0.787 0.338 0.195
0.697 0.958 0.723
0.707 0.449 0.671
0.303 0.042 0.277
0.213 0.662 0.805
0.781 0.792 0.183
0.219 0.208 0.817
0.500 0.000 0.000
0.000 0.500 0.000
0.697 0.666 0.441
0.303 0.334 0.559
```

**Energy relative to the elements**: -2.724 eV/atom
**Space-group type**: P-1, No. 2


(4)
## ZrVF6 (PBE+U)

Data for a geometry-optimized ZrVF6 structure.

Cell and atoms, written as POSCAR:
```
ZrVF6
1.0
1.843 -4.987 -2.484
1.776 -4.471 3.361
-3.272 -4.857 0.391
V F Zr
1 6 1
Direct
0.500 0.500 0.500
0.754 0.754 0.246
0.246 0.754 0.754
0.246 0.246 0.754
0.754 0.246 0.754
0.246 0.754 0.246
0.754 0.246 0.246
0.000 0.000 0.000
```

**Energy relative to the elements**: -3.677 eV/atom
**Space-group type**: Fm-3m, No. 225


(5)
## WF4 (PBE+U)

Data for a geometry-optimized WF4 structure.

Cell and atoms, written as POSCAR:
```
WF4
1.0
-1.947 -3.787 2.987
-0.156 -3.406 -4.496
6.124 1.013 1.265
F W
8 2
Direct
0.228 0.662 0.861
0.155 0.165 0.861
0.404 0.003 0.269
0.844 0.829 0.142
0.780 0.334 0.146
0.677 0.503 0.726
0.595 0.009 0.737
0.332 0.506 0.269
0.502 0.999 0.003
0.998 0.496 0.999
```

**Energy relative to the elements**: -2.625 eV/atom
**Space-group type**: P1, No. 1
**Maximum piezoelectric response**: 0.21 C/m2


(6)
## WF6 (PBE+U)

Data for a geometry-optimized WF6 structure.

Cell and atoms, written as POSCAR:
```
WF6
1.0
-2.853 2.212 -3.820
-6.453 -6.214 1.221
-4.405 5.890 6.701
F W
24 4
Direct
0.703 0.250 0.516
0.064 0.897 0.764
0.936 0.103 0.236
0.436 0.603 0.264
0.236 0.103 0.020
0.874 0.750 0.260
0.264 0.397 0.520
0.626 0.750 0.760
0.736 0.897 0.480
0.564 0.103 0.736
0.064 0.603 0.764
0.374 0.250 0.240
0.436 0.897 0.264
0.203 0.750 0.984
0.764 0.603 0.980
0.126 0.250 0.740
0.764 0.897 0.980
0.736 0.603 0.480
0.797 0.250 0.016
0.564 0.397 0.736
0.264 0.103 0.520
0.297 0.750 0.484
0.236 0.397 0.020
0.936 0.397 0.236
0.085 0.250 0.128
0.585 0.750 0.372
0.415 0.250 0.628
0.915 0.750 0.872
```

**Energy relative to the elements**: -2.809 eV/atom
**Space-group type**: Pnma, No. 62


(7)
## YWF5 (PBE+U)

Data for a geometry-optimized YWF5 structure.

Cell and atoms, written as POSCAR:
```
YWF5
1.0
-2.162 3.490 4.331
2.162 -3.490 4.331
2.162 3.490 -4.331
F Y W
5 1 1
Direct
0.753 0.753 0.000
0.500 0.000 0.500
0.818 0.500 0.318
0.247 0.247 0.000
0.182 0.500 0.682
0.500 0.500 0.000
0.000 0.000 0.000
```

**Energy relative to the elements**: -3.096 eV/atom
**Space-group type**: Immm, No. 71


(8)
## ZnWF4 (PBE+U)

Data for a geometry-optimized ZnWF4 structure.

Cell and atoms, written as POSCAR:
```
ZnWF4
1.0
2.952 6.212 0.000
-2.952 6.212 0.000
0.000 2.783 5.189
F Zn W
8 2 2
Direct
0.952 0.810 0.949
0.452 0.302 0.802
0.698 0.548 0.198
0.546 0.698 0.702
0.190 0.048 0.051
0.042 0.200 0.556
0.800 0.958 0.444
0.302 0.454 0.298
0.744 0.256 0.000
0.243 0.757 0.500
0.998 0.503 0.250
0.497 0.002 0.750
```

**Energy relative to the lowest polymorph listed for this composition**: 168.1 meV per atom
**Energy relative to the elements**: -1.732 eV/atom
**Space-group type**: C2, No. 5